A relaxed structure of Li7Mn5O12, computed with PBE+U.

Calculated values
DFT total energy: -6.4053 eV/atom
E above lowest polymorph: 0 meV per atom

Structure (CIF):
```
data_Li7Mn5O12
_space_group_name_H-M_alt 'P 1'
_space_group_IT_number 1
_cell_length_a 5.0451
_cell_length_b 9.9321
_cell_length_c 5.0447
_cell_angle_alpha 92.94
_cell_angle_beta 62.43
_cell_angle_gamma 101.28
loop_
_space_group_symop_operation_xyz
'x,y,z'
loop_
_atom_site_label
_atom_site_fract_x
_atom_site_fract_y
_atom_site_fract_z
_atom_site_occupancy
O1 0.9262 0.8911 0.3477 1
O2 0.3842 0.1090 0.9621 1
O3 0.8221 0.3826 0.6389 1
O4 0.7406 0.1089 0.3190 1
O5 0.2825 0.8910 0.7046 1
O6 0.8446 0.6174 0.0278 1
O7 0.0159 0.1119 0.6879 1
O8 0.4865 0.3793 0.3059 1
O9 0.1541 0.3818 0.9731 1
O10 0.6508 0.8880 0.9788 1
O11 0.1801 0.6207 0.3608 1
O12 0.5126 0.6182 0.6936 1
Li1 0.7469 0.2424 0.0012 1
Li2 0.3334 0.0000 0.3333 1
Li3 0.9198 0.7576 0.6655 1
Li4 0.0869 0.2476 0.3351 1
Li5 0.2532 0.7524 0.0045 1
Li6 0.5797 0.7524 0.3315 1
Li7 0.4135 0.2476 0.6622 1
Mn1 0.6654 0.0000 0.6654 1
Mn2 0.0013 0.0000 0.0013 1
Mn3 0.5004 0.4988 0.9993 1
Mn4 0.8333 0.5000 0.3334 1
Mn5 0.1663 0.5012 0.6673 1
```

***

A relaxed structure of ZnCoF5, computed with PBE+U.

Calculated values
DFT total energy: -4.2159 eV/atom
total magnetic moment: 0.00 μB/f.u.
E above lowest polymorph: 14 meV per atom

Structure (CIF):
```
data_ZnCoF5
_space_group_name_H-M_alt 'P 1'
_space_group_IT_number 1
_cell_length_a 5.3110
_cell_length_b 5.3110
_cell_length_c 7.4987
_cell_angle_alpha 69.11
_cell_angle_beta 69.11
_cell_angle_gamma 71.75
loop_
_space_group_symop_operation_xyz
'x,y,z'
loop_
_atom_site_label
_atom_site_fract_x
_atom_site_fract_y
_atom_site_fract_z
_atom_site_occupancy
F1 0.2657 0.2120 0.3740 1
F2 0.8743 0.1266 0.2500 1
F3 0.2952 0.6766 0.4525 1
F4 0.2120 0.2657 0.8740 1
F5 0.7143 0.3191 0.5425 1
F6 0.6766 0.2952 0.9525 1
F7 0.3191 0.7143 0.0425 1
F8 0.7900 0.7357 0.1230 1
F9 0.1266 0.8743 0.7500 1
F10 0.7357 0.7900 0.6230 1
Co1 0.0032 0.9983 0.4994 1
Co2 0.9983 0.0032 0.9994 1
Zn1 0.5295 0.4706 0.2454 1
Zn2 0.4706 0.5295 0.7454 1
```

***

A relaxed structure of MnSeO4, computed with PBE+U.

Calculated values
DFT total energy: -6.1938 eV/atom

Structure (CIF):
```
data_MnSeO4
_space_group_name_H-M_alt 'P 1'
_space_group_IT_number 1
_cell_length_a 5.0853
_cell_length_b 7.0766
_cell_length_c 9.3669
_cell_angle_alpha 90.00
_cell_angle_beta 90.00
_cell_angle_gamma 90.00
loop_
_space_group_symop_operation_xyz
'x,y,z'
loop_
_atom_site_label
_atom_site_fract_x
_atom_site_fract_y
_atom_site_fract_z
_atom_site_occupancy
O1 0.8252 0.5530 0.3746 1
O2 0.0505 0.2500 0.8631 1
O3 0.3252 0.4470 0.1254 1
O4 0.3252 0.0530 0.1254 1
O5 0.5505 0.7500 0.6369 1
O6 0.8252 0.9470 0.3746 1
O7 0.2117 0.7500 0.8790 1
O8 0.2883 0.7500 0.3790 1
O9 0.7117 0.2500 0.6210 1
O10 0.1748 0.0530 0.6254 1
O11 0.4495 0.2500 0.3631 1
O12 0.6748 0.9470 0.8746 1
O13 0.7883 0.2500 0.1210 1
O14 0.9495 0.7500 0.1369 1
O15 0.6748 0.5530 0.8746 1
O16 0.1748 0.4470 0.6254 1
Mn1 0.0000 0.5000 0.0000 1
Mn2 0.5000 0.0000 0.5000 1
Mn3 0.5000 0.5000 0.5000 1
Mn4 0.0000 0.0000 0.0000 1
Se1 0.9741 0.7500 0.3194 1
Se2 0.5259 0.7500 0.8194 1
Se3 0.4741 0.2500 0.1806 1
Se4 0.0259 0.2500 0.6806 1
```

***

A relaxed structure of LiFe8O12, computed with PBE+U.

Calculated values
DFT total energy: -6.5531 eV/atom
total magnetic moment: 39.00 μB/f.u.
E above lowest polymorph: 5 meV per atom

Structure (CIF):
```
data_LiFe8O12
_space_group_name_H-M_alt 'P 1'
_space_group_IT_number 1
_cell_length_a 5.9772
_cell_length_b 5.9932
_cell_length_c 13.4447
_cell_angle_alpha 103.10
_cell_angle_beta 103.10
_cell_angle_gamma 89.94
loop_
_space_group_symop_operation_xyz
'x,y,z'
loop_
_atom_site_label
_atom_site_fract_x
_atom_site_fract_y
_atom_site_fract_z
_atom_site_occupancy
O1 0.8775 0.6412 0.7465 1
O2 0.3690 0.0984 0.7453 1
O3 0.3636 0.6258 0.2515 1
O4 0.8878 0.6219 0.2435 1
O5 0.5637 0.2940 0.5868 1
O6 0.1911 0.4338 0.4051 1
O7 0.6972 0.9428 0.9073 1
O8 0.2118 0.9441 0.9056 1
O9 0.7206 0.9715 0.4264 1
O10 0.0386 0.3026 0.0868 1
O11 0.5443 0.7784 0.0764 1
O12 0.3567 0.1226 0.2455 1
O13 0.8868 0.1271 0.2536 1
O14 0.2187 0.4676 0.9141 1
O15 0.6995 0.4706 0.9218 1
O16 0.1909 0.9737 0.4073 1
O17 0.3746 0.6447 0.7539 1
O18 0.5653 0.7952 0.5922 1
O19 0.8758 0.1074 0.7472 1
O20 0.0268 0.2914 0.5809 1
O21 0.7228 0.4598 0.4278 1
O22 0.5483 0.3069 0.0832 1
O23 0.0248 0.8021 0.5995 1
O24 0.0394 0.7808 0.0895 1
Fe1 0.7854 0.5322 0.0804 1
Fe2 0.4540 0.7059 0.9160 1
Fe3 0.1348 0.8792 0.2543 1
Fe4 0.1346 0.3724 0.2523 1
Fe5 0.5795 0.0850 0.1637 1
Fe6 0.2906 0.5349 0.0795 1
Fe7 0.2484 0.7474 0.4996 1
Fe8 0.6272 0.8816 0.7536 1
Fe9 0.9966 0.9929 0.9975 1
Fe10 0.7833 0.0386 0.5808 1
Fe11 0.1260 0.8808 0.7516 1
Fe12 0.6740 0.6687 0.3384 1
Fe13 0.9190 0.4212 0.8347 1
Fe14 0.7872 0.5431 0.5829 1
Fe15 0.3362 0.3309 0.6673 1
Fe16 0.9640 0.2098 0.4167 1
Li1 0.4550 0.2113 0.4162 1
Li2 0.4585 0.2094 0.9167 1
```

***

A relaxed structure of LiFeF4, computed with PBE+U.

Calculated values
DFT total energy: -5.0631 eV/atom
total magnetic moment: 5.00 μB/f.u.
E above lowest polymorph: 84 meV per atom

Structure (CIF):
```
data_LiFeF4
_space_group_name_H-M_alt 'P 1'
_space_group_IT_number 1
_cell_length_a 6.6762
_cell_length_b 6.6762
_cell_length_c 6.6762
_cell_angle_alpha 136.59
_cell_angle_beta 136.59
_cell_angle_gamma 63.07
loop_
_space_group_symop_operation_xyz
'x,y,z'
loop_
_atom_site_label
_atom_site_fract_x
_atom_site_fract_y
_atom_site_fract_z
_atom_site_occupancy
F1 0.6601 0.1696 0.9683 1
F2 0.0899 0.0804 0.5317 1
F3 0.9196 0.4512 0.0095 1
F4 0.4418 0.9101 0.9905 1
F5 0.2012 0.6918 0.0317 1
F6 0.3082 0.3399 0.5095 1
F7 0.5488 0.5582 0.4683 1
F8 0.8304 0.7988 0.4905 1
Li1 0.7500 0.2500 0.5000 1
Li2 0.0000 0.0000 0.0000 1
Fe1 0.2500 0.7500 0.5000 1
Fe2 0.5000 0.5000 0.0000 1
```

***

A relaxed structure of Mn5CuTe12O30, computed with PBE+U.

Calculated values
DFT total energy: -5.9327 eV/atom
total magnetic moment: 24.00 μB/f.u.

Structure (CIF):
```
data_Mn5CuTe12O30
_space_group_name_H-M_alt 'P 1'
_space_group_IT_number 1
_cell_length_a 8.9423
_cell_length_b 15.8375
_cell_length_c 22.1487
_cell_angle_alpha 88.23
_cell_angle_beta 89.14
_cell_angle_gamma 90.60
loop_
_space_group_symop_operation_xyz
'x,y,z'
loop_
_atom_site_label
_atom_site_fract_x
_atom_site_fract_y
_atom_site_fract_z
_atom_site_occupancy
Te1 0.0379 0.0559 0.5596 1
Te2 0.0641 0.7674 0.1160 1
Te3 0.9642 0.2770 0.1045 1
Te4 0.5662 0.7557 0.3609 1
Te5 0.5358 0.7318 0.6498 1
Te6 0.4621 0.9311 0.6843 1
Te7 0.5355 0.0652 0.3165 1
Te8 0.5625 0.0774 0.8075 1
Te9 0.0379 0.3893 0.2259 1
Te10 0.4361 0.2447 0.6404 1
Te11 0.4659 0.2334 0.1500 1
Te12 0.9647 0.2228 0.3935 1
Te13 0.0376 0.7224 0.8928 1
Te14 0.9659 0.6108 0.7708 1
Te15 0.0638 0.1022 0.7829 1
Te16 0.4322 0.9240 0.1942 1
Te17 0.9645 0.9438 0.4380 1
Te18 0.5633 0.4105 0.4741 1
Te19 0.4358 0.5774 0.3063 1
Te20 0.4322 0.5906 0.5276 1
Te21 0.9368 0.9356 0.9489 1
Te22 0.0678 0.0670 0.0512 1
Te23 0.0329 0.4445 0.9370 1
Te24 0.5365 0.7645 0.8503 1
Te25 0.9635 0.5553 0.0596 1
Te26 0.0643 0.4343 0.4494 1
Te27 0.4623 0.5978 0.0173 1
Te28 0.5662 0.0891 0.0276 1
Te29 0.4359 0.9105 0.9729 1
Te30 0.5353 0.4322 0.1840 1
Te31 0.9647 0.8896 0.7269 1
Te32 0.5630 0.7437 0.1406 1
Te33 0.9375 0.2691 0.6157 1
Te34 0.9338 0.5664 0.5503 1
Te35 0.0341 0.1110 0.2723 1
Te36 0.0678 0.7337 0.3846 1
Te37 0.5340 0.3980 0.9835 1
Te38 0.9293 0.2347 0.8838 1
Te39 0.5707 0.4233 0.6952 1
Te40 0.4622 0.2646 0.3508 1
Te41 0.9337 0.8997 0.2169 1
Te42 0.4310 0.2572 0.8614 1
Te43 0.9368 0.6023 0.2822 1
Te44 0.4659 0.9002 0.4833 1
Te45 0.0690 0.4010 0.7177 1
Te46 0.0341 0.7777 0.6056 1
Te47 0.4671 0.5642 0.8173 1
Te48 0.5354 0.0990 0.5175 1
O1 0.3805 0.3713 0.6788 1
O2 0.1023 0.3537 0.5130 1
O3 0.1723 0.2215 0.4118 1
O4 0.5526 0.4825 0.2675 1
O5 0.3274 0.0355 0.3251 1
O6 0.1723 0.2788 0.0819 1
O7 0.6262 0.9607 0.9904 1
O8 0.6262 0.6275 0.3238 1
O9 0.1264 0.9781 0.9759 1
O10 0.0441 0.3186 0.9313 1
O11 0.5167 0.1740 0.2763 1
O12 0.3853 0.8688 0.2707 1
O13 0.0262 0.4063 0.1395 1
O14 0.9473 0.0179 0.7329 1
O15 0.5521 0.8152 0.9340 1
O16 0.0185 0.7603 0.6918 1
O17 0.0453 0.9849 0.2651 1
O18 0.5463 0.3487 0.9013 1
O19 0.8971 0.1884 0.6797 1
O20 0.8967 0.8548 0.0129 1
O21 0.3987 0.3026 0.5654 1
O22 0.1725 0.8883 0.7452 1
O23 0.3277 0.1230 0.5104 1
O24 0.8968 0.5215 0.3462 1
O25 0.3980 0.6353 0.2314 1
O26 0.1714 0.5541 0.0779 1
O27 0.3736 0.7940 0.1600 1
O28 0.4738 0.1553 0.3909 1
O29 0.6708 0.9560 0.6764 1
O30 0.3826 0.2009 0.9373 1
O31 0.3766 0.0380 0.0099 1
O32 0.6746 0.5358 0.8259 1
O33 0.4546 0.1817 0.0683 1
O34 0.8288 0.7202 0.9116 1
O35 0.5245 0.6554 0.8912 1
O36 0.9798 0.2412 0.3075 1
O37 0.4732 0.4889 0.0580 1
O38 0.5154 0.5070 0.9434 1
O39 0.9479 0.6837 0.0654 1
O40 0.8261 0.7802 0.5878 1
O41 0.5201 0.9905 0.5584 1
O42 0.1278 0.3111 0.6422 1
O43 0.8784 0.0277 0.0222 1
O44 0.1144 0.1505 0.9889 1
O45 0.3736 0.4605 0.4933 1
O46 0.9475 0.3509 0.3992 1
O47 0.1015 0.0215 0.8465 1
O48 0.0540 0.5180 0.2319 1
O49 0.1727 0.9453 0.4153 1
O50 0.9536 0.4846 0.7654 1
O51 0.9472 0.1491 0.1010 1
O52 0.6739 0.8771 0.4909 1
O53 0.3275 0.4562 0.1771 1
O54 0.1147 0.8172 0.3223 1
O55 0.8839 0.3170 0.8212 1
O56 0.6032 0.8021 0.0655 1
O57 0.0454 0.6516 0.5985 1
O58 0.4546 0.8484 0.4016 1
O59 0.9798 0.9080 0.6409 1
O60 0.0186 0.0935 0.3584 1
O61 0.4457 0.6488 0.1013 1
O62 0.6201 0.2049 0.8447 1
O63 0.6047 0.0300 0.1020 1
O64 0.0133 0.4267 0.0231 1
O65 0.3287 0.7886 0.8435 1
O66 0.6047 0.6966 0.4354 1
O67 0.5528 0.0177 0.2324 1
O68 0.6709 0.2893 0.3431 1
O69 0.8951 0.9793 0.1527 1
O70 0.1264 0.6447 0.3092 1
O71 0.8739 0.4743 0.4771 1
O72 0.6216 0.5387 0.5110 1
O73 0.0267 0.7403 0.8066 1
O74 0.4815 0.3424 0.1096 1
O75 0.8729 0.1438 0.8096 1
O76 0.0543 0.8515 0.8987 1
O77 0.6160 0.3673 0.7710 1
O78 0.4459 0.3153 0.4347 1
O79 0.3722 0.1267 0.8267 1
O80 0.3258 0.3689 0.9929 1
O81 0.9833 0.2598 0.1905 1
O82 0.8799 0.3613 0.6884 1
O83 0.8953 0.6460 0.4861 1
O84 0.5528 0.1499 0.6010 1
O85 0.5170 0.8406 0.6097 1
O86 0.8260 0.1136 0.2544 1
O87 0.8737 0.8074 0.1436 1
O88 0.4558 0.5147 0.7353 1
O89 0.5202 0.3236 0.2250 1
O90 0.4739 0.8214 0.7243 1
O91 0.1195 0.1956 0.8545 1
O92 0.3277 0.7021 0.6585 1
O93 0.4866 0.6731 0.7768 1
O94 0.6711 0.6222 0.0096 1
O95 0.9831 0.9263 0.5239 1
O96 0.8785 0.6943 0.3555 1
O97 0.8254 0.4465 0.9152 1
O98 0.6740 0.2104 0.1576 1
O99 0.4815 0.0091 0.4429 1
O100 0.9473 0.8157 0.4343 1
O101 0.8292 0.3871 0.2451 1
O102 0.9754 0.5734 0.9732 1
O103 0.1235 0.5260 0.5221 1
O104 0.6028 0.1358 0.7324 1
O105 0.1023 0.6870 0.1796 1
O106 0.6271 0.2941 0.6593 1
O107 0.0542 0.1846 0.5653 1
O108 0.0262 0.0728 0.4732 1
O109 0.1175 0.4834 0.6549 1
O110 0.8291 0.0538 0.5786 1
O111 0.3857 0.5354 0.6041 1
O112 0.6032 0.4689 0.3989 1
O113 0.1233 0.8592 0.1888 1
O114 0.5529 0.6843 0.5657 1
O115 0.6216 0.8722 0.1777 1
O116 0.1742 0.6135 0.7483 1
O117 0.4459 0.9818 0.7680 1
O118 0.3765 0.7049 0.3432 1
O119 0.9845 0.5936 0.8569 1
O120 0.3977 0.9685 0.8980 1
Mn1 0.7500 0.9168 0.0834 1
Mn2 0.2501 0.7506 0.2503 1
Mn3 0.2501 0.2500 0.5002 1
Mn4 0.2500 0.0828 0.4164 1
Mn5 0.7501 0.2498 0.2499 1
Mn6 0.7501 0.7500 0.5000 1
Mn7 0.2498 0.7495 0.7497 1
Mn8 0.2497 0.9166 0.8334 1
Mn9 0.2500 0.0838 0.9170 1
Mn10 0.7499 0.0836 0.6668 1
Mn11 0.7500 0.4167 0.3333 1
Mn12 0.7501 0.5836 0.4168 1
Mn13 0.2502 0.4161 0.0831 1
Mn14 0.7500 0.5821 0.9161 1
Mn15 0.7501 0.7497 0.9999 1
Mn16 0.7500 0.2511 0.7506 1
Mn17 0.2499 0.4173 0.5836 1
Mn18 0.7500 0.0833 0.1667 1
Mn19 0.7499 0.9166 0.5833 1
Mn20 0.2500 0.5833 0.1664 1
Cu1 0.2497 0.2499 0.0001 1
Cu2 0.7500 0.4167 0.8333 1
Cu3 0.2505 0.5835 0.6666 1
Cu4 0.2501 0.9167 0.3334 1
```

***

A relaxed structure of VO2F, computed with PBE+U.

Calculated values
DFT total energy: -6.7197 eV/atom
total magnetic moment: 0.00 μB/f.u.

Structure (CIF):
```
data_VO2F
_space_group_name_H-M_alt 'P 1'
_space_group_IT_number 1
_cell_length_a 5.2776
_cell_length_b 5.4233
_cell_length_c 11.0702
_cell_angle_alpha 101.06
_cell_angle_beta 103.22
_cell_angle_gamma 93.04
loop_
_space_group_symop_operation_xyz
'x,y,z'
loop_
_atom_site_label
_atom_site_fract_x
_atom_site_fract_y
_atom_site_fract_z
_atom_site_occupancy
O1 0.6163 0.1286 0.6356 1
O2 0.8344 0.7589 0.4996 1
O3 0.2147 0.2630 0.9785 1
O4 0.1601 0.0756 0.1698 1
O5 0.0374 0.5557 0.6984 1
O6 0.4835 0.4220 0.8307 1
O7 0.8399 0.9244 0.8302 1
O8 0.3837 0.8714 0.3644 1
O9 0.5165 0.5780 0.1693 1
O10 0.7853 0.7370 0.0215 1
O11 0.1656 0.2411 0.5004 1
O12 0.9626 0.4443 0.3016 1
F1 0.8421 0.9528 0.2980 1
F2 0.1579 0.0472 0.7020 1
F3 0.5163 0.6153 0.6302 1
F4 0.2673 0.7703 0.9697 1
F5 0.7327 0.2297 0.0303 1
F6 0.4837 0.3847 0.3698 1
V1 0.6222 0.7045 0.3410 1
V2 0.3778 0.2955 0.6590 1
V3 0.5000 0.5000 0.0000 1
V4 0.1315 0.2100 0.3291 1
V5 0.0000 0.0000 0.0000 1
V6 0.8685 0.7900 0.6709 1
```

***

A relaxed structure of Ga2Fe2Bi2O9, computed with PBE+U.

Calculated values
DFT total energy: -6.1574 eV/atom
total magnetic moment: 10.00 μB/f.u.

Structure (CIF):
```
data_Ga2Fe2Bi2O9
_space_group_name_H-M_alt 'P 1'
_space_group_IT_number 1
_cell_length_a 5.9753
_cell_length_b 7.9513
_cell_length_c 8.3287
_cell_angle_alpha 90.00
_cell_angle_beta 90.00
_cell_angle_gamma 90.00
loop_
_space_group_symop_operation_xyz
'x,y,z'
loop_
_atom_site_label
_atom_site_fract_x
_atom_site_fract_y
_atom_site_fract_z
_atom_site_occupancy
Bi1 0.0000 0.8313 0.6674 1
Bi2 0.0000 0.6687 0.1674 1
Bi3 0.0000 0.3313 0.8326 1
Bi4 0.0000 0.1687 0.3326 1
O1 0.2424 0.8714 0.2043 1
O2 0.0000 0.6460 0.4321 1
O3 0.2424 0.3714 0.2957 1
O4 0.5000 0.0000 0.5000 1
O5 0.5000 0.1286 0.0914 1
O6 0.0000 0.3540 0.5679 1
O7 0.5000 0.8714 0.9086 1
O8 0.2424 0.1286 0.7957 1
O9 0.2424 0.6286 0.7043 1
O10 0.5000 0.6286 0.4086 1
O11 0.7576 0.1286 0.7957 1
O12 0.7576 0.3714 0.2957 1
O13 0.7576 0.6286 0.7043 1
O14 0.0000 0.1460 0.0679 1
O15 0.0000 0.8540 0.9321 1
O16 0.5000 0.3714 0.5914 1
O17 0.5000 0.5000 0.0000 1
O18 0.7576 0.8714 0.2043 1
Fe1 0.7447 0.5000 0.5000 1
Fe2 0.7447 0.0000 0.0000 1
Fe3 0.2553 0.0000 0.0000 1
Fe4 0.2553 0.5000 0.5000 1
Ga1 0.5000 0.1495 0.6665 1
Ga2 0.5000 0.8505 0.3335 1
Ga3 0.5000 0.6495 0.8335 1
Ga4 0.5000 0.3505 0.1665 1
```

***

A relaxed structure of MgMn4Fe2O12, computed with PBE+U.

Calculated values
DFT total energy: -6.8415 eV/atom
total magnetic moment: 22.01 μB/f.u.
E above lowest polymorph: 0 meV per atom

Structure (CIF):
```
data_MgMn4Fe2O12
_space_group_name_H-M_alt 'P 1'
_space_group_IT_number 1
_cell_length_a 5.1038
_cell_length_b 5.1063
_cell_length_c 10.1408
_cell_angle_alpha 90.05
_cell_angle_beta 89.25
_cell_angle_gamma 120.10
loop_
_space_group_symop_operation_xyz
'x,y,z'
loop_
_atom_site_label
_atom_site_fract_x
_atom_site_fract_y
_atom_site_fract_z
_atom_site_occupancy
O1 0.5049 0.1625 0.3998 1
O2 0.9975 0.6554 0.0968 1
O3 0.9952 0.3415 0.9025 1
O4 0.3487 0.3600 0.1028 1
O5 0.8602 0.4977 0.5955 1
O6 0.8267 0.8297 0.3982 1
O7 0.6532 0.6459 0.9000 1
O8 0.1845 0.5095 0.3985 1
O9 0.4986 0.8606 0.5966 1
O10 0.1361 0.1358 0.5959 1
O11 0.3518 0.0065 0.9023 1
O12 0.6438 0.9795 0.1014 1
Mn1 0.6673 0.3341 0.0008 1
Mn2 0.8338 0.1671 0.4948 1
Mn3 0.3280 0.6658 0.9905 1
Mn4 0.1700 0.8349 0.4950 1
Fe1 0.9995 0.9977 0.9918 1
Fe2 0.5003 0.4951 0.5328 1
Mg1 0.5124 0.6708 0.2539 1
```

***

Result set for formation enthalpy at 0 K: -2157 -2217 -1522 -1660 -2741 -1618 -2380 -1850 -1834 meV per atom, one per record in the order listed.